Sr3LaMn4O12: optimized geometry, PBE with a Hubbard U.

Cell lengths 6.746, 6.746, 6.746 Å; angles 109.47, 109.47, 109.47 degrees
Fractional positions:
Sr  0.000  0.500  0.500
Sr  0.500  0.000  0.500
Sr  0.500  0.500  0.000
La  0.000  0.000  0.000
Mn  0.000  0.000  0.500
Mn  0.000  0.500  0.000
Mn  0.500  0.000  0.000
Mn  0.500  0.500  0.500
O  0.000  0.246  0.754
O  0.000  0.754  0.246
O  0.246  0.000  0.754
O  0.246  0.246  0.491
O  0.246  0.491  0.246
O  0.246  0.754  0.000
O  0.491  0.246  0.246
O  0.509  0.754  0.754
O  0.754  0.000  0.246
O  0.754  0.246  0.000
O  0.754  0.509  0.754
O  0.754  0.754  0.509

## Properties
- size of the total moment (μB per atom) = 0.6499
- energy of formation from the pure elements (kJ/mol of formula units) = -5051
- calculated density (Mg/m³) = 5.7
- relative energy among the computed polymorphs (meV per atom) = 6

Sr4LaMn5O15: optimized geometry, PBE with a Hubbard U.

Cell lengths 5.506, 8.614, 13.459 Å; angles 75.30, 89.18, 71.68 degrees
Fractional positions:
Sr  0.000  0.000  0.000
Sr  0.000  0.000  0.499
Sr  0.201  0.596  0.402
Sr  0.201  0.599  0.900
Sr  0.400  0.202  0.798
Sr  0.401  0.199  0.301
Sr  0.799  0.397  0.101
Sr  0.800  0.399  0.600
La  0.598  0.801  0.699
La  0.600  0.796  0.203
Mn  0.002  0.998  0.251
Mn  0.198  0.600  0.650
Mn  0.201  0.596  0.151
Mn  0.399  0.200  0.049
Mn  0.399  0.200  0.549
Mn  0.601  0.799  0.451
Mn  0.601  0.799  0.951
Mn  0.801  0.399  0.851
Mn  0.802  0.396  0.351
Mn  0.997  0.002  0.750
O  0.090  0.803  0.695
O  0.093  0.302  0.948
O  0.102  0.299  0.451
O  0.112  0.792  0.207
O  0.206  0.092  0.648
O  0.213  0.085  0.154
O  0.286  0.904  0.841
O  0.298  0.398  0.602
O  0.305  0.394  0.104
O  0.311  0.895  0.350
O  0.400  0.702  0.551
O  0.405  0.699  0.056
O  0.485  0.514  0.745
O  0.502  0.996  0.503
O  0.504  0.995  0.003
O  0.514  0.501  0.254
O  0.601  0.300  0.949
O  0.602  0.298  0.451
O  0.692  0.606  0.896
O  0.693  0.094  0.648
O  0.701  0.602  0.398
O  0.720  0.082  0.157
O  0.794  0.902  0.844
O  0.801  0.895  0.350
O  0.891  0.206  0.792
O  0.891  0.701  0.552
O  0.905  0.198  0.301
O  0.907  0.697  0.056
O  0.987  0.511  0.747
O  0.995  0.504  0.253

## Properties
- size of the total moment (μB per atom) = 0.6439
- energy of formation from the pure elements (kJ/mol of formula units) = -6216
- calculated density (Mg/m³) = 5.7
- relative energy among the computed polymorphs (meV per atom) = 6

Sr2LaMn2O7: optimized geometry, PBE with a Hubbard U.

Cell lengths 10.398, 10.398, 5.567 Å; angles 90.00, 90.00, 148.94 degrees
Fractional positions:
Sr  0.067  0.933  0.750
Sr  0.433  0.567  0.750
Sr  0.567  0.433  0.250
Sr  0.933  0.067  0.250
La  0.250  0.750  0.750
La  0.750  0.250  0.250
Mn  0.151  0.849  0.250
Mn  0.347  0.653  0.250
Mn  0.653  0.347  0.750
Mn  0.849  0.151  0.750
O  0.056  0.944  0.250
O  0.101  0.418  0.009
O  0.101  0.418  0.491
O  0.248  0.752  0.250
O  0.418  0.101  0.509
O  0.418  0.101  0.991
O  0.443  0.557  0.250
O  0.557  0.443  0.750
O  0.582  0.899  0.009
O  0.582  0.899  0.491
O  0.752  0.248  0.750
O  0.899  0.582  0.509
O  0.899  0.582  0.991
O  0.944  0.056  0.750

## Properties
- size of the total moment (μB per atom) = 0.5833
- energy of formation from the pure elements (kJ/mol of formula units) = -3282
- calculated density (Mg/m³) = 5.7
- relative energy among the computed polymorphs (meV per atom) = 11

Sr3La5Mn8O24: optimized geometry, PBE with a Hubbard U.

Cell lengths 7.857, 7.857, 9.568 Å; angles 113.66, 113.66, 90.44 degrees
Fractional positions:
Sr  0.000  0.000  0.000
Sr  0.252  0.748  0.500
Sr  0.752  0.248  0.500
La  0.001  0.499  0.000
La  0.251  0.248  0.498
La  0.501  0.499  0.000
La  0.501  0.999  0.000
La  0.752  0.749  0.502
Mn  0.125  0.623  0.749
Mn  0.126  0.123  0.749
Mn  0.376  0.373  0.251
Mn  0.377  0.875  0.251
Mn  0.627  0.123  0.750
Mn  0.627  0.624  0.749
Mn  0.877  0.373  0.250
Mn  0.877  0.874  0.251
O  0.022  0.978  0.500
O  0.099  0.365  0.732
O  0.112  0.831  0.221
O  0.136  0.405  0.269
O  0.169  0.888  0.779
O  0.230  0.281  0.000
O  0.278  0.722  0.000
O  0.346  0.113  0.228
O  0.365  0.581  0.728
O  0.389  0.163  0.776
O  0.419  0.635  0.272
O  0.473  0.026  0.500
O  0.521  0.479  0.500
O  0.595  0.864  0.731
O  0.610  0.336  0.218
O  0.635  0.901  0.268
O  0.664  0.390  0.782
O  0.719  0.770  0.000
O  0.769  0.231  0.000
O  0.837  0.611  0.224
O  0.863  0.084  0.724
O  0.887  0.654  0.772
O  0.916  0.137  0.276
O  0.974  0.527  0.500

## Properties
- size of the total moment (μB per atom) = 0.7251
- energy of formation from the pure elements (kJ/mol of formula units) = -10922
- calculated density (Mg/m³) = 6.1

Sr3LaMn4O12: optimized geometry, PBE with a Hubbard U.

Cell lengths 5.479, 5.515, 7.819 Å; angles 90.00, 89.41, 89.94 degrees
Fractional positions:
Sr  0.000  0.000  0.000
Sr  0.000  0.003  0.500
Sr  0.500  0.504  0.000
La  0.500  0.506  0.500
Mn  0.000  0.503  0.248
Mn  0.000  0.503  0.752
Mn  0.500  0.003  0.248
Mn  0.500  0.003  0.752
O  0.000  0.464  0.000
O  0.000  0.538  0.500
O  0.231  0.772  0.234
O  0.235  0.238  0.725
O  0.274  0.729  0.762
O  0.275  0.278  0.276
O  0.500  0.040  0.000
O  0.500  0.959  0.500
O  0.725  0.278  0.724
O  0.726  0.729  0.237
O  0.765  0.238  0.275
O  0.769  0.772  0.766

## Properties
- size of the total moment (μB per atom) = 0.6500
- energy of formation from the pure elements (kJ/mol of formula units) = -5061
- calculated density (Mg/m³) = 5.7
- relative energy among the computed polymorphs (meV per atom) = 0

Sr2LaMn2O7: optimized geometry, PBE with a Hubbard U.

Cell lengths 10.438, 10.438, 10.438 Å; angles 158.30, 158.30, 30.87 degrees
Fractional positions:
Sr  0.183  0.183  0.000
Sr  0.817  0.817  0.000
La  0.000  0.000  0.000
Mn  0.402  0.402  0.000
Mn  0.598  0.598  0.000
O  0.092  0.592  0.500
O  0.306  0.306  0.000
O  0.408  0.908  0.500
O  0.500  0.500  0.000
O  0.592  0.092  0.500
O  0.694  0.694  0.000
O  0.908  0.408  0.500

## Properties
- size of the total moment (μB per atom) = 0.0000
- energy of formation from the pure elements (kJ/mol of formula units) = -3294
- calculated density (Mg/m³) = 5.7
- relative energy among the computed polymorphs (meV per atom) = 0